Entry 1:
Computed, not measured: a relaxed Fe5HO8 crystal at the PBE+U level of DFT.

a = 5.9635 Å, b = 5.9635 Å, c = 9.2678 Å
α = 90.00°, β = 90.00°, γ = 120.00°
Fractional coordinates of all 28 atoms:
Fe: 0.1667 0.8333 0.1290
Fe: 0.1670 0.3334 0.1346
Fe: 0.6666 0.8330 0.1346
Fe: 0.8333 0.1667 0.6290
Fe: 0.8330 0.6666 0.6346
Fe: 0.3334 0.1670 0.6346
Fe: 0.3327 0.6673 0.8412
Fe: 0.6673 0.3327 0.3412
Fe: 0.3332 0.6668 0.4560
Fe: 0.6668 0.3332 0.9560
H: 0.0026 0.9974 0.9066
H: 0.9974 0.0026 0.4066
O: 0.9979 0.0021 0.5130
O: 0.0021 0.9979 0.0130
O: 0.3309 0.6691 0.2473
O: 0.6691 0.3309 0.7473
O: 0.1657 0.8343 0.7377
O: 0.1558 0.3277 0.7352
O: 0.6723 0.8442 0.7352
O: 0.8343 0.1657 0.2377
O: 0.8442 0.6723 0.2352
O: 0.3277 0.1558 0.2352
O: 0.5147 0.4853 0.4964
O: 0.5216 0.0315 0.5015
O: 0.9685 0.4784 0.5015
O: 0.4853 0.5147 0.9964
O: 0.4784 0.9685 0.0015
O: 0.0315 0.5216 0.0015

Summary:
Spin magnetization   25.0 μB/f.u.

***

Entry 2:
Computed, not measured: a relaxed FeHO2 crystal at the PBE+U level of DFT.

a = 7.6842 Å, b = 7.6842 Å, c = 4.0486 Å
α = 90.00°, β = 90.00°, γ = 160.27°
Fractional coordinates of all 8 atoms:
Fe: 0.3120 0.6880 0.7500
Fe: 0.6880 0.3120 0.2500
H: 0.4433 0.5567 0.7500
H: 0.5567 0.4433 0.2500
O: 0.2863 0.7137 0.2500
O: 0.7137 0.2863 0.7500
O: 0.0828 0.9172 0.2500
O: 0.9172 0.0828 0.7500

Summary:
Spin magnetization   5.0 μB/f.u.

***

Energy of formation for the records above, in order: -21.835; -3.968 eV/f.u.